(1)
Rb2SeCl6: optimized geometry, PBE.

Values from the calculation:
symmetry = Fm-3m, No. 225

a = 7.3024 Å, b = 7.3024 Å, c = 7.3024 Å
α = 60.00°, β = 60.00°, γ = 60.00°
Element x y z (fractional)
Cl  0.7645  0.2355  0.7645
Cl  0.2355  0.2355  0.7645
Cl  0.7645  0.7645  0.2355
Rb  0.2500  0.2500  0.2500
Cl  0.2355  0.7645  0.7645
Rb  0.7500  0.7500  0.7500
Cl  0.7645  0.2355  0.2355
Cl  0.2355  0.7645  0.2355
Se  0.0000  0.0000  0.0000

***

(2)
Rb2Pd3S2: optimized geometry, PBE.

Values from the calculation:
total moment = 0.00 Bohr magnetons per cell
symmetry = Fddd, No. 70

a = 8.2512 Å, b = 6.7106 Å, c = 18.0192 Å
α = 81.91°, β = 76.76°, γ = 52.06°
Element x y z (fractional)
Pd  0.5431  0.7526  0.2208
S  0.6982  0.9684  0.3687
Rb  0.4990  0.6390  0.3999
S  0.7147  0.4684  0.8687
Rb  0.2121  0.1390  0.8999
Pd  0.2069  0.7474  0.2792
Pd  0.3750  0.7500  0.7500
S  0.3334  0.9684  0.6313
S  0.8168  0.4684  0.1313
S  0.0518  0.5316  0.1313
Pd  0.2335  0.2526  0.7208
Pd  0.5139  0.2526  0.2792
Pd  0.8750  0.2500  0.2500
S  0.0353  0.0316  0.6313
S  0.9332  0.0316  0.3687
Pd  0.2361  0.2474  0.2208
Rb  0.5379  0.3610  0.6001
Rb  0.8880  0.8610  0.8999
Rb  0.2510  0.8610  0.1001
Rb  0.8620  0.6390  0.6001
Pd  0.8750  0.7500  0.2500
Pd  0.0457  0.7474  0.7208
Rb  0.6489  0.1390  0.1001
S  0.4166  0.5316  0.8687
Pd  0.7043  0.7526  0.7792
Rb  0.1011  0.3610  0.3999
Pd  0.8750  0.2500  0.7500
Pd  0.5165  0.2474  0.7792

***

(3)
GdAsO4: optimized geometry, PBE.

Values from the calculation:
total moment = 14.00 Bohr magnetons per cell
E above lowest polymorph = 0.57 eV per formula unit
symmetry = Imma, No. 74

a = 6.1121 Å, b = 6.1121 Å, c = 6.1121 Å
α = 123.97°, β = 104.70°, γ = 100.81°
Element x y z (fractional)
As  0.3280  0.2500  0.0780
O  0.2101  0.9896  0.6998
Gd  0.5000  0.0000  0.5000
O  0.3647  0.5634  0.8014
O  0.2101  0.5104  0.2205
As  0.6720  0.7500  0.9220
O  0.6353  0.4366  0.1986
Gd  0.0000  0.5000  0.5000
O  0.7899  0.0104  0.3002
O  0.7899  0.4896  0.7795
O  0.7380  0.9366  0.8014
O  0.2620  0.0634  0.1986

***

(4)
BiTeO4: optimized geometry, PBE.

Values from the calculation:
E above lowest polymorph = 0.00 eV per formula unit
symmetry = Cc, No. 9

a = 7.0681 Å, b = 7.0681 Å, c = 10.4519 Å
α = 66.93°, β = 66.93°, γ = 47.17°
Element x y z (fractional)
O  0.1444  0.6562  0.1190
Bi  0.7704  0.6810  0.1544
O  0.8435  0.3615  0.8827
O  0.2946  0.4905  0.4190
Te  0.3508  0.1932  0.3844
Bi  0.6810  0.7704  0.6544
Te  0.5084  0.4941  0.5033
O  0.2821  0.0857  0.5915
O  0.0857  0.2821  0.0915
O  0.6408  0.2070  0.1569
O  0.3615  0.8435  0.3827
Te  0.4941  0.5084  0.0033
Bi  0.9594  0.0410  0.7425
O  0.7114  0.9197  0.4037
O  0.4787  0.7281  0.0823
O  0.7281  0.4787  0.5823
Bi  0.0410  0.9594  0.2425
O  0.6562  0.1444  0.6190
O  0.4905  0.2946  0.9190
O  0.3545  0.7937  0.8418
O  0.7937  0.3545  0.3418
O  0.9197  0.7114  0.9037
O  0.2070  0.6408  0.6569
Te  0.1932  0.3508  0.8844

***

(5)
NaZnSiO4: optimized geometry, PBE.

Values from the calculation:
total moment = 4.00 Bohr magnetons per cell
symmetry = P2_12_12_1, No. 19

a = 5.1882 Å, b = 7.5291 Å, c = 9.5966 Å
α = 90.00°, β = 90.00°, γ = 90.00°
Element x y z (fractional)
O  0.6151  0.3309  0.4033
Si  0.4878  0.5143  0.3382
O  0.8253  0.0219  0.1533
O  0.1322  0.8295  0.5688
Si  0.5122  0.0143  0.1618
O  0.3253  0.4781  0.8466
Zn  0.5219  0.3995  0.0085
O  0.9116  0.4638  0.6756
Zn  0.4781  0.8995  0.4915
Na  0.5240  0.2889  0.6553
O  0.1747  0.5219  0.3466
O  0.3678  0.1705  0.0688
O  0.5884  0.5362  0.1756
O  0.6747  0.9781  0.6534
Zn  0.0219  0.1005  0.9915
O  0.4116  0.0362  0.3244
Zn  0.9781  0.6005  0.5085
O  0.6322  0.6705  0.4312
Na  0.4760  0.7889  0.8447
Na  0.0240  0.2111  0.3447
Si  0.0122  0.4857  0.8382
Si  0.9878  0.9857  0.6618
Na  0.9760  0.7111  0.1553
O  0.8849  0.6691  0.9033
O  0.1151  0.1691  0.5967
O  0.8678  0.3295  0.9312
O  0.0884  0.9638  0.8244
O  0.3849  0.8309  0.0967

***

(6)
NaMgCu6O8: optimized geometry, PBE.

Values from the calculation:
total moment = 0.00 Bohr magnetons per cell
symmetry = Fm-3m, No. 225

a = 6.5009 Å, b = 6.5009 Å, c = 6.5009 Å
α = 60.00°, β = 90.00°, γ = 120.00°
Element x y z (fractional)
O  0.1448  0.7105  0.1448
O  0.1448  0.2895  0.1448
Cu  0.0000  0.0000  0.5000
Cu  0.5000  0.0000  0.0000
Cu  0.0000  0.5000  0.5000
O  0.5657  0.7105  0.1448
O  0.4343  0.2895  0.8552
O  0.8552  0.7105  0.4343
O  0.8552  0.7105  0.8552
Cu  0.0000  0.5000  0.0000
Na  0.0000  0.0000  0.0000
Mg  0.5000  0.0000  0.5000
O  0.1448  0.2895  0.5657
Cu  0.5000  0.5000  0.0000
Cu  0.5000  0.5000  0.5000
O  0.8552  0.2895  0.8552

***

(7)
Cu4BiSe4I: optimized geometry, PBE.

Values from the calculation:
total moment = 0.00 Bohr magnetons per cell
symmetry = Pnma, No. 62

a = 4.1419 Å, b = 9.7566 Å, c = 23.1840 Å
α = 90.00°, β = 90.00°, γ = 90.00°
Element x y z (fractional)
Se  0.2500  0.3567  0.3455
Bi  0.7500  0.7826  0.3758
I  0.7500  0.6842  0.0230
Se  0.2500  0.5418  0.4215
Cu  0.2500  0.0384  0.9694
Cu  0.7500  0.4616  0.4694
Cu  0.7500  0.9616  0.0306
Cu  0.7500  0.8531  0.5928
Bi  0.7500  0.2826  0.1242
Se  0.2500  0.4628  0.1589
Se  0.7500  0.6621  0.2696
Cu  0.2500  0.5384  0.5306
Se  0.2500  0.8379  0.7696
Se  0.2500  0.8567  0.1545
Cu  0.7500  0.4745  0.7383
Se  0.7500  0.6433  0.6545
Se  0.7500  0.4582  0.5785
Cu  0.2500  0.6422  0.7049
Bi  0.2500  0.7174  0.8758
Se  0.2500  0.3379  0.7304
Cu  0.2500  0.1422  0.7951
I  0.2500  0.8158  0.5230
I  0.2500  0.3158  0.9770
Se  0.7500  0.9582  0.9215
Cu  0.7500  0.9745  0.7617
Se  0.2500  0.9628  0.3411
Cu  0.7500  0.3531  0.9072
Cu  0.7500  0.8578  0.2049
Se  0.7500  0.1621  0.2304
Cu  0.2500  0.0255  0.2383
Se  0.7500  0.0372  0.6589
Bi  0.2500  0.2174  0.6242
Se  0.7500  0.5372  0.8411
I  0.7500  0.1842  0.4770
Cu  0.7500  0.3578  0.2951
Cu  0.2500  0.6469  0.0928
Cu  0.2500  0.5255  0.2617
Cu  0.2500  0.1469  0.4072
Se  0.7500  0.1433  0.8455
Se  0.2500  0.0418  0.0785

***

(8)
ZnPt3: optimized geometry, PBE.

Values from the calculation:
symmetry = Pm-3m, No. 221

a = 3.9362 Å, b = 3.9362 Å, c = 3.9362 Å
α = 90.00°, β = 90.00°, γ = 90.00°
Element x y z (fractional)
Pt  0.5000  0.5000  0.0000
Pt  0.5000  0.0000  0.5000
Pt  0.0000  0.5000  0.5000
Zn  0.0000  0.0000  0.0000

***

(9)
K2Re3Se6: optimized geometry, PBE.

Values from the calculation:
symmetry = C2/c, No. 15

a = 10.1479 Å, b = 10.1479 Å, c = 12.5296 Å
α = 88.65°, β = 88.65°, γ = 60.64°
Element x y z (fractional)
K  0.6026  0.3974  0.7500
Se  0.3893  0.9401  0.2209
K  0.3512  0.8779  0.4831
Re  0.1126  0.4700  0.6256
Re  0.4700  0.1126  0.1256
Se  0.9401  0.3893  0.7209
Se  0.0719  0.2538  0.3305
Se  0.5615  0.7351  0.6960
Se  0.2538  0.0719  0.8305
Re  0.5300  0.8874  0.8744
Re  0.6844  0.9965  0.9742
Se  0.0041  0.9315  0.4189
Re  0.1816  0.3990  0.4187
Se  0.2649  0.4385  0.8040
Se  0.2849  0.2008  0.5692
Re  0.8874  0.5300  0.3744
K  0.8779  0.3512  0.9831
Re  0.6010  0.8184  0.0813
Re  0.8184  0.6010  0.5813
Se  0.4385  0.2649  0.3040
Se  0.2802  0.5514  0.5185
Se  0.7198  0.4486  0.4815
Se  0.7462  0.9281  0.1695
Re  0.3156  0.0035  0.0258
Se  0.9315  0.0041  0.9189
K  0.7836  0.2164  0.2500
Se  0.9281  0.7462  0.6695
Se  0.0685  0.9959  0.0811
K  0.3974  0.6026  0.2500
Se  0.7992  0.7151  0.9308
Se  0.4486  0.7198  0.9815
K  0.2164  0.7836  0.7500
K  0.1221  0.6488  0.0169
Re  0.3990  0.1816  0.9187
Re  0.0035  0.3156  0.5258
Se  0.9959  0.0685  0.5811
Se  0.7351  0.5615  0.1960
Se  0.0599  0.6107  0.2791
Se  0.2008  0.2849  0.0692
Re  0.9965  0.6844  0.4742
Se  0.7151  0.7992  0.4308
Se  0.5514  0.2802  0.0185
Se  0.6107  0.0599  0.7791
K  0.6488  0.1221  0.5169

***

(10)
Cs2NaTmCl6: optimized geometry, PBE.

Values from the calculation:
total moment = 0.00 Bohr magnetons per cell
symmetry = Fm-3m, No. 225

a = 7.6718 Å, b = 7.6718 Å, c = 7.6718 Å
α = 60.00°, β = 60.00°, γ = 60.00°
Element x y z (fractional)
Cl  0.7596  0.7596  0.2404
Cl  0.2404  0.7596  0.2404
Cl  0.7596  0.2404  0.2404
Na  0.5000  0.5000  0.5000
Cl  0.2404  0.2404  0.7596
Cs  0.7500  0.7500  0.7500
Cl  0.7596  0.2404  0.7596
Cs  0.2500  0.2500  0.2500
Cl  0.2404  0.7596  0.7596
Tm  0.0000  0.0000  0.0000

***

(11)
BaLiCeSbO6: optimized geometry, PBE.

Values from the calculation:
total moment = 0.00 Bohr magnetons per cell
E above lowest polymorph = 0.00 eV per formula unit
symmetry = Pnnn, No. 48

a = 8.4294 Å, b = 8.3908 Å, c = 8.4038 Å
α = 90.00°, β = 90.00°, γ = 90.00°
Element x y z (fractional)
O  0.7288  0.0125  0.7767
O  0.9857  0.7823  0.2937
O  0.7053  0.2326  0.5135
O  0.9857  0.2177  0.7063
O  0.7288  0.9875  0.2233
O  0.5143  0.2823  0.7937
Sb  0.2500  0.7500  0.7500
O  0.5143  0.7177  0.2063
O  0.7947  0.7326  0.0135
Li  0.0000  0.5000  0.0000
O  0.7712  0.5125  0.2767
Ba  0.5000  0.5000  0.5000
Ba  0.5000  0.0000  0.0000
O  0.2053  0.2674  0.0135
O  0.7053  0.7674  0.4865
Sb  0.7500  0.7500  0.2500
Ba  0.0000  0.0000  0.0000
Ce  0.2500  0.7500  0.2500
Ce  0.2500  0.2500  0.7500
O  0.2712  0.9875  0.7767
Li  0.0000  0.0000  0.5000
O  0.4857  0.7177  0.7937
Ce  0.7500  0.2500  0.2500
O  0.7712  0.4875  0.7233
O  0.0143  0.2177  0.2937
O  0.2288  0.4875  0.2767
Li  0.5000  0.0000  0.5000
Sb  0.2500  0.2500  0.2500
O  0.2947  0.2326  0.4865
O  0.2712  0.0125  0.2233
Ba  0.0000  0.5000  0.5000
O  0.2947  0.7674  0.5135
O  0.4857  0.2823  0.2063
Ce  0.7500  0.7500  0.7500
O  0.0143  0.7823  0.7063
Li  0.5000  0.5000  0.0000
Sb  0.7500  0.2500  0.7500
O  0.2288  0.5125  0.7233
O  0.7947  0.2674  0.9865
O  0.2053  0.7326  0.9865

***

(12)
HfH3: optimized geometry, PBE.

Values from the calculation:
total moment = 0.00 Bohr magnetons per cell
symmetry = I4/mmm, No. 139

a = 3.7237 Å, b = 3.7237 Å, c = 3.7237 Å
α = 131.60°, β = 131.60°, γ = 70.87°
Element x y z (fractional)
H  0.7500  0.2500  0.5000
Hf  0.0000  0.0000  0.0000
H  0.5000  0.5000  0.0000
H  0.2500  0.7500  0.5000

***

Table of E_tot (eV per atom), in record order: -2.964, -3.940, -8.675, -5.627, -5.863, -4.755, -3.755, -5.181, -6.173, -4.005, -6.734, -5.244
Table of energy relative to the elements (eV per atom), in record order: -1.5341, -0.4015, -2.7117, -1.6138, -2.2840, -0.9043, -0.2139, -0.3125, -0.9277, -2.5054, -2.7883, -0.3441